Entry 1:
15
Lattice="5.2257 -3.0493 0.0000 5.2257 3.0493 0.0000 -3.4572 0.0000 4.9595" Properties=species:S:1:pos:R:3 comment="Li3Co3TeO8, relaxed, DFT PBE with a Hubbard U" total_magnetization_mub_per_fu=10.0 formation_energy_ev_per_atom=-1.702 space_group="No. 12" vol_a3_per_cell=158 total_energy_ev_per_cell=-84.9 de_polymorph_mev_per_atom=0 pbc="T T T"
Li 0.0000 0.0000 0.0000
Li 0.8842 1.5246 2.4798
Li 0.8842 -1.5246 2.4798
Co 2.6128 1.5246 0.0000
Co 2.6128 -1.5246 0.0000
Co 3.4971 0.0000 2.4798
Te -1.7286 0.0000 2.4798
O -0.1565 0.0000 3.6265
O 2.6986 1.6550 3.6000
O 4.2955 1.6550 1.3595
O 1.9863 0.0000 1.2951
O 5.0078 0.0000 3.6644
O 2.6986 -1.6550 3.6000
O 4.2955 -1.6550 1.3595
O 7.1506 0.0000 1.3330

***

Entry 2:
28
Lattice="5.1998 -2.9957 0.0000 5.1998 2.9957 0.0000 -0.0173 0.0000 10.1141" Properties=species:S:1:pos:R:3 comment="Li4Ti3Co3Te2O16, relaxed, DFT PBE with a Hubbard U" total_magnetization_mub_per_fu=9.0 formation_energy_ev_per_atom=-2.299 space_group="No. 8" vol_a3_per_cell=315 total_energy_ev_per_cell=-186.6 pbc="T T T"
Li 0.0000 0.0000 0.0000
Li 0.0949 0.0000 4.9624
Li 3.5783 0.0000 4.2311
Li 6.9948 0.0000 9.2000
Ti 4.3030 1.4389 7.3543
Ti 4.3030 -1.4389 7.3543
Ti 8.6540 0.0000 2.3583
Co 1.8656 0.0000 7.1806
Co 6.1625 1.4534 2.3142
Co 6.1625 -1.4534 2.3142
Te 3.4482 0.0000 0.1904
Te 6.9849 0.0000 5.0087
O -0.0028 0.0000 3.1240
O 0.0187 0.0000 8.1211
O 2.8151 1.4800 8.3895
O 4.2690 1.5025 1.2174
O 1.7023 0.0000 1.0342
O 6.1733 1.4857 5.9927
O 3.6976 0.0000 6.1894
O 5.1468 0.0000 8.3375
O 2.8151 -1.4800 8.3895
O 5.5032 0.0000 3.7022
O 7.8449 1.2866 3.7077
O 4.2690 -1.5025 1.2174
O 7.1204 0.0000 1.2082
O 8.7285 0.0000 6.0347
O 6.1733 -1.4857 5.9927
O 7.8449 -1.2866 3.7077

***

Entry 3:
28
Lattice="5.1908 -2.8760 0.0000 5.1908 2.8760 0.0000 -0.0980 0.0000 10.3697" Properties=species:S:1:pos:R:3 comment="Li4V3Co3Te2O16, relaxed, DFT PBE with a Hubbard U" total_magnetization_mub_per_fu=4.0 formation_energy_ev_per_atom=-1.951 space_group="No. 8" vol_a3_per_cell=310 total_energy_ev_per_cell=-175.3 pbc="T T T"
Li 0.0000 0.0000 0.0000
Li -0.0086 0.0000 5.2497
Li 3.5069 0.0000 9.5042
Li 6.9075 0.0000 4.3346
V 4.2001 1.3726 2.4360
V 4.2001 -1.3726 2.4360
V 8.5050 0.0000 7.7522
Co 1.8772 0.0000 2.2920
Co 6.1071 1.2924 7.5576
Co 6.1071 -1.2924 7.5576
Te 3.4220 0.0000 5.4893
Te 6.8346 0.0000 0.1338
O -0.0190 0.0000 3.2706
O 2.7643 1.4417 3.4426
O 1.6854 0.0000 6.4006
O 4.3455 1.4410 6.4054
O 6.0248 1.4664 1.1439
O 3.6589 0.0000 1.1797
O 5.0902 0.0000 3.4687
O 2.7643 -1.4417 3.4426
O 5.3711 0.0000 8.9744
O 7.8356 1.3137 8.7389
O 4.3455 -1.4410 6.4054
O 7.1566 0.0000 6.3862
O 6.0248 -1.4664 1.1439
O 8.8765 0.0000 1.2778
O 7.8356 -1.3137 8.7389
O 10.2281 0.0000 8.4090

***

Entry 4:
28
Lattice="5.8909 0.0000 0.0000 2.9382 5.2857 0.0000 0.0341 -0.0042 10.2842" Properties=species:S:1:pos:R:3 comment="Li4V3Co3Te2O16, relaxed, DFT PBE with a Hubbard U" total_magnetization_mub_per_fu=6.0 formation_energy_ev_per_atom=-1.952 space_group="No. 1" vol_a3_per_cell=320 total_energy_ev_per_cell=-175.3 pbc="T T T"
Li 0.0000 0.0000 0.0000
Li 2.9544 5.2286 5.0320
Li 2.9329 1.5904 0.8163
Li 5.8698 3.4784 5.9921
V 1.5258 0.9709 7.8616
V 4.4418 0.9028 7.8485
V 5.8894 1.8235 2.5722
Co 2.9746 3.4507 8.0170
Co 4.4565 4.3061 2.7696
Co 7.3119 4.3046 2.7732
Te 2.9416 1.7134 4.8409
Te 5.9089 3.6602 10.1559
O 3.0117 5.2501 6.9645
O 1.4749 2.4161 6.8619
O 2.9444 3.4846 4.0057
O 1.4666 0.8160 3.9199
O 4.4069 4.4515 9.1960
O 2.8893 1.5638 9.0190
O 2.8730 0.0684 6.8517
O 4.4347 2.4027 6.9078
O 5.8861 4.9788 1.3356
O 4.5560 2.4807 1.5735
O 4.4272 0.8166 3.9375
O 5.8887 3.1989 3.8511
O 7.3962 4.5039 9.1516
O 5.9807 1.4372 8.9891
O 5.8855 0.0810 1.9021
O 7.2185 2.4764 1.5834

***

Entry 5:
62
Lattice="2.8489 0.0000 0.0000 0.0000 8.6850 0.0000 0.0000 0.0000 24.2612" Properties=species:S:1:pos:R:3 comment="Li4TiCo8O18, relaxed, DFT PBE with a Hubbard U" total_magnetization_mub_per_fu=8.0 formation_energy_ev_per_atom=-1.620 space_group="No. 26" vol_a3_per_cell=600 total_energy_ev_per_cell=-372.4 pbc="T T T"
Li 0.0000 0.3619 0.0000
Li 0.0000 0.6437 19.4365
Li 0.0000 3.8484 14.3610
Li 0.0000 3.8586 19.9079
Li 0.0000 4.8263 7.7773
Li 0.0000 4.8365 2.2304
Li 0.0000 8.0413 7.3058
Li 0.0000 8.3230 12.1306
Ti 0.0000 2.2128 16.8718
Ti 0.0000 6.4721 4.7411
Co 0.0000 1.9472 2.6116
Co 0.0000 2.0477 21.9855
Co 0.0000 2.1311 7.2945
Co 0.0000 2.3551 11.7729
Co 0.0000 6.3298 23.9035
Co 0.0000 6.5539 19.4251
Co 0.0000 6.6373 9.8549
Co 0.0000 6.7378 14.7422
Co 1.4244 0.8986 14.6493
Co 1.4244 0.9406 9.3868
Co 1.4244 3.3198 5.1739
Co 1.4244 3.4370 24.0434
Co 1.4244 5.2479 11.9128
Co 1.4244 5.3651 17.3045
Co 1.4244 7.7443 21.5175
Co 1.4244 7.7864 2.5187
O 0.0000 0.2886 21.5405
O 0.0000 0.4881 15.8471
O 0.0000 1.2928 13.5055
O 0.0000 2.1068 5.3788
O 0.0000 2.1996 9.2016
O 0.0000 3.1060 0.9681
O 0.0000 3.7458 22.8246
O 0.0000 4.1077 17.2430
O 0.0000 4.5773 5.1124
O 0.0000 4.9392 10.6940
O 0.0000 5.5789 13.0987
O 0.0000 6.4854 21.3322
O 0.0000 6.5781 17.5094
O 0.0000 7.3922 1.3749
O 0.0000 8.1968 3.7165
O 0.0000 8.3963 9.4099
O 1.4244 0.8574 7.4746
O 1.4244 0.8809 1.8922
O 1.4244 1.1769 11.2590
O 1.4244 1.7186 23.2780
O 1.4244 1.7321 18.0090
O 1.4244 2.5023 20.8228
O 1.4244 2.6371 15.4179
O 1.4244 3.0216 3.3086
O 1.4244 3.4300 7.0644
O 1.4244 3.4541 12.4109
O 1.4244 5.2309 0.2803
O 1.4244 5.2549 19.1950
O 1.4244 5.6633 15.4392
O 1.4244 6.0479 3.2873
O 1.4244 6.1827 8.6922
O 1.4244 6.9529 5.8784
O 1.4244 6.9663 11.1474
O 1.4244 7.5081 23.3896
O 1.4244 7.8041 14.0228
O 1.4244 7.8275 19.6052

***

Entry 6:
22
Lattice="2.4717 -4.2549 0.0000 2.4717 4.2549 0.0000 -0.0594 0.0000 9.9503" Properties=species:S:1:pos:R:3 comment="Li4TiCo5O12, relaxed, DFT PBE with a Hubbard U" total_magnetization_mub_per_fu=1.0 formation_energy_ev_per_atom=-1.853 space_group="No. 12" vol_a3_per_cell=209 total_energy_ev_per_cell=-134.8 de_polymorph_mev_per_atom=27 pbc="T T T"
Li 1.9804 2.1468 7.4356
Li 2.9037 2.1468 2.5147
Li 1.9804 -2.1468 7.4356
Li 2.9037 -2.1468 2.5147
Ti 2.4717 0.0000 0.0000
Co -0.0297 0.0000 4.9751
Co 2.4717 2.8525 0.0000
Co 2.4420 1.4027 4.9751
Co 2.4420 -1.4027 4.9751
Co 2.4717 -2.8525 0.0000
O 1.6332 2.8276 3.9688
O 1.6338 1.4633 1.0662
O 0.7449 0.0000 8.9234
O 1.5897 0.0000 4.0106
O 3.2508 2.8276 5.9815
O 3.2503 1.4633 8.8841
O 1.6338 -1.4633 1.0662
O 1.6332 -2.8276 3.9688
O 3.2943 0.0000 5.9397
O 4.1392 0.0000 1.0269
O 3.2503 -1.4633 8.8841
O 3.2508 -2.8276 5.9815

***

Entry 7:
62
Lattice="8.9845 0.0000 0.0000 0.0000 24.7538 0.0000 0.0000 0.0000 2.8872" Properties=species:S:1:pos:R:3 comment="Li4Ti4Co5O18, relaxed, DFT PBE with a Hubbard U" total_magnetization_mub_per_fu=15.0 formation_energy_ev_per_atom=-2.188 space_group="No. 55" vol_a3_per_cell=642 total_energy_ev_per_cell=-422.2 pbc="T T T"
Li 1.7078 0.2326 0.0000
Li 1.8075 19.8761 0.0000
Li 2.6847 7.4993 0.0000
Li 2.7845 12.6095 0.0000
Li 6.2000 12.1443 0.0000
Li 6.2998 17.2545 0.0000
Li 7.1770 4.8776 0.0000
Li 7.2768 24.5212 0.0000
Ti 0.1300 22.2151 0.0000
Ti 1.3947 4.7814 1.4436
Ti 3.0975 17.1583 1.4436
Ti 4.3623 9.8383 0.0000
Ti 4.6222 14.9155 0.0000
Ti 5.8870 7.5955 1.4436
Ti 7.5898 19.9724 1.4436
Ti 8.8546 2.5386 0.0000
Co 0.0000 12.3769 0.0000
Co 0.0499 16.9760 0.0000
Co 1.2412 10.2986 1.4436
Co 3.2511 22.6755 1.4436
Co 4.4424 4.5991 0.0000
Co 4.4923 0.0000 0.0000
Co 4.5421 20.1547 0.0000
Co 5.7334 2.0783 1.4436
Co 7.7433 14.4552 1.4436
Co 8.9346 7.7778 0.0000
O 0.0483 10.5160 0.0000
O 0.4181 1.3953 1.4436
O 0.4841 20.7523 1.4436
O 1.0430 8.4159 1.4436
O 1.0939 6.0538 0.0000
O 1.1480 17.5366 1.4436
O 1.2801 12.2104 1.4436
O 1.6471 3.4967 0.0000
O 1.9636 22.6737 0.0000
O 2.5286 10.2968 0.0000
O 2.8452 15.8736 0.0000
O 3.2121 24.5873 1.4436
O 3.3443 5.1597 1.4436
O 3.3983 18.4307 0.0000
O 3.4493 20.7928 1.4436
O 4.0081 8.3755 1.4436
O 4.0741 13.7722 1.4436
O 4.4440 22.8929 0.0000
O 4.5405 1.8608 0.0000
O 4.9104 10.9816 1.4436
O 4.9764 16.3783 1.4436
O 5.5352 3.9610 1.4436
O 5.5862 6.3231 0.0000
O 5.6402 19.5941 1.4436
O 5.7724 0.1665 1.4436
O 6.1393 8.8802 0.0000
O 6.4559 14.4570 0.0000
O 7.0209 2.0801 0.0000
O 7.3374 21.2571 0.0000
O 7.7044 12.5434 1.4436
O 7.8366 7.2172 1.4436
O 7.8906 18.6999 0.0000
O 7.9415 16.3379 1.4436
O 8.5004 4.0014 1.4436
O 8.5664 23.3585 1.4436
O 8.9362 14.2377 0.0000

***

Entry 8:
56
Lattice="8.4539 0.0000 0.0000 0.0000 8.4553 0.0000 -0.0067 0.0000 8.4563" Properties=species:S:1:pos:R:3 comment="Li3Ti6Co3O16, relaxed, DFT PBE with a Hubbard U" total_magnetization_mub_per_fu=8.0 formation_energy_ev_per_atom=-2.868 space_group="No. 4" vol_a3_per_cell=604 total_energy_ev_per_cell=-436.0 pbc="T T T"
Li 0.0138 0.0000 2.1016
Li 1.0538 3.1899 3.1683
Li 3.1653 5.3033 7.3980
Li 5.2819 1.0756 1.0583
Li 7.3934 7.4176 5.2880
Li 8.4334 4.2277 6.3547
Ti 0.9753 1.0959 5.1989
Ti 1.0429 7.3410 7.3564
Ti 1.0986 5.2748 1.0121
Ti 3.0774 3.2405 5.2913
Ti 3.1458 1.1217 3.1210
Ti 3.1999 7.4287 1.0191
Ti 5.2473 3.2010 7.4372
Ti 5.3014 5.3493 5.3353
Ti 5.3698 7.4681 3.1650
Ti 7.3486 1.0471 7.4442
Ti 7.4043 3.1134 1.0999
Ti 7.4719 5.3235 3.2574
Co 2.0959 2.1252 8.4368
Co 2.1258 6.3771 4.2213
Co 4.2127 0.0218 6.3300
Co 4.2345 4.2495 2.1263
Co 6.3214 2.1495 4.2350
Co 6.3513 6.3529 0.0195
O 0.9079 5.3236 3.0472
O 0.9282 3.3364 1.0358
O 0.9356 0.9699 7.2921
O 1.0406 5.4629 7.5342
O 1.0771 7.5491 5.4360
O 1.1787 7.2940 0.9303
O 1.1976 1.0623 3.3393
O 1.2124 3.0394 5.2930
O 3.0180 5.4174 1.0857
O 3.0420 7.4411 7.5404
O 3.0666 1.1805 5.1883
O 3.1377 0.9584 1.1901
O 3.1996 3.0504 3.2963
O 3.2625 7.5178 3.0677
O 3.2890 5.1544 5.2623
O 3.3119 3.1656 7.2752
O 5.1354 7.3932 1.1811
O 5.1582 0.9267 3.1940
O 5.1847 3.2901 5.3886
O 5.2476 7.2780 5.1600
O 5.3095 5.1860 7.2662
O 5.3806 5.4081 3.2680
O 5.4052 3.2134 0.9160
O 5.4292 1.1898 7.3706
O 7.2348 7.2671 3.1633
O 7.2496 5.2899 5.1170
O 7.2685 3.0663 7.5260
O 7.3701 3.3214 3.0204
O 7.4066 1.2352 0.9221
O 7.5117 5.1975 1.1643
O 7.5190 7.5640 7.4205
O 7.5393 1.0960 5.4091

***

Entry 9:
38
Lattice="6.5572 0.0000 0.0000 -3.2194 7.0004 0.0000 -0.2157 -0.7421 7.7296" Properties=species:S:1:pos:R:3 comment="Li4Ti2Co3O10, relaxed, DFT PBE with a Hubbard U" total_magnetization_mub_per_fu=3.0 formation_energy_ev_per_atom=-2.320 space_group="No. 2" vol_a3_per_cell=355 total_energy_ev_per_cell=-253.1 pbc="T T T"
Li -0.7688 2.7164 0.6774
Li -0.1601 2.8937 5.8286
Li 1.3251 1.1518 2.3121
Li 0.6736 3.8622 3.1354
Li 2.4485 2.3962 4.5941
Li 1.7970 5.1066 5.4175
Li 3.2821 3.3647 1.9010
Li 3.8909 3.5420 7.0522
Ti -2.0664 4.4949 4.1204
Ti 1.9107 1.4454 7.3012
Ti 1.2114 4.8130 0.4283
Ti 5.1885 1.7635 3.6092
Co 0.0000 0.0000 0.0000
Co 0.4970 0.2100 5.0489
Co -0.7742 5.6885 6.5564
Co 3.1708 -0.3710 3.8648
Co 3.8963 0.5698 1.1732
Co 2.6251 6.0484 2.6806
O -2.5943 5.4647 5.9081
O -1.3346 3.5057 2.6924
O 0.0212 0.9894 6.7444
O -2.1329 6.3606 3.3965
O -0.7313 3.9556 7.4351
O 0.4691 1.9363 4.0991
O 2.0945 0.3517 0.4579
O -0.2077 4.8762 4.8754
O 1.2816 3.0611 1.1967
O 2.3117 0.4401 5.6164
O 0.8104 5.8183 2.1131
O 1.8405 3.1973 6.5329
O 3.3298 1.3822 2.8541
O 1.0276 5.9067 7.2717
O 2.6530 4.3220 3.6305
O 3.8534 2.3028 0.2945
O 5.2550 -0.1022 4.3330
O 3.1009 5.2690 0.9852
O 4.4567 2.7527 5.0371
O 5.7164 0.7936 1.8215